SrZrNbInO6 PBE-GGA relaxed; SG = No. 216; ΔE_f = -29.936 eV per formula unit
1.0
-5.521 -0.877 -1.782
-2.224 -5.429 -0.098
-4.122 -1.552 3.876
O Sr In Nb Zr
6 1 1 1 1
Direct
0.244 0.756 0.244
0.756 0.244 0.244
0.756 0.756 0.244
0.244 0.244 0.756
0.756 0.244 0.756
0.244 0.756 0.756
0.750 0.750 0.750
0.250 0.250 0.250
0.000 0.000 0.000
0.500 0.500 0.500

=====

LiSn10P7O28 PBE-GGA relaxed; SG = No. 161; ΔE_f = -102.821 eV per formula unit
1.0
14.260 -5.435 0.000
14.260 5.435 0.000
12.189 0.000 9.184
Sn O P Li
20 56 14 2
Direct
0.499 0.499 0.499
0.050 0.080 0.649
0.423 0.851 0.432
0.351 0.923 0.932
0.580 0.550 0.149
0.065 0.002 0.433
0.432 0.423 0.851
0.002 0.433 0.065
0.851 0.432 0.423
0.923 0.932 0.351
0.932 0.351 0.923
0.080 0.649 0.050
0.502 0.565 0.933
0.433 0.065 0.002
0.550 0.149 0.580
0.565 0.933 0.502
0.933 0.502 0.565
0.999 0.999 0.999
0.149 0.580 0.550
0.649 0.050 0.080
0.772 0.596 0.863
0.142 0.871 0.847
0.641 0.312 0.635
0.168 0.893 0.602
0.863 0.103 0.389
0.813 0.370 0.817
0.642 0.347 0.371
0.863 0.772 0.596
0.313 0.317 0.870
0.141 0.135 0.812
0.863 0.100 0.690
0.603 0.363 0.889
0.312 0.635 0.641
0.389 0.863 0.103
0.330 0.138 0.878
0.378 0.638 0.830
0.102 0.393 0.668
0.596 0.863 0.772
0.393 0.668 0.102
0.635 0.641 0.312
0.363 0.190 0.600
0.544 0.182 0.279
0.363 0.889 0.603
0.668 0.102 0.393
0.279 0.544 0.182
0.363 0.096 0.272
0.871 0.847 0.142
0.135 0.812 0.141
0.693 0.693 0.693
0.878 0.330 0.138
0.044 0.779 0.682
0.096 0.272 0.363
0.847 0.142 0.871
0.690 0.863 0.100
0.272 0.363 0.096
0.347 0.371 0.642
0.138 0.878 0.330
0.779 0.682 0.044
0.812 0.141 0.135
0.103 0.389 0.863
0.893 0.602 0.168
0.682 0.044 0.779
0.602 0.168 0.893
0.600 0.363 0.190
0.830 0.378 0.638
0.638 0.830 0.378
0.182 0.279 0.544
0.817 0.813 0.370
0.371 0.642 0.347
0.889 0.603 0.363
0.370 0.817 0.813
0.193 0.193 0.193
0.190 0.600 0.363
0.100 0.690 0.863
0.870 0.313 0.317
0.317 0.870 0.313
0.730 0.730 0.730
0.244 0.655 0.202
0.312 0.806 0.771
0.702 0.155 0.744
0.230 0.230 0.230
0.202 0.244 0.655
0.655 0.202 0.244
0.271 0.306 0.812
0.812 0.271 0.306
0.744 0.702 0.155
0.806 0.771 0.312
0.155 0.744 0.702
0.771 0.312 0.806
0.306 0.812 0.271
0.329 0.329 0.329
0.829 0.829 0.829

=====

Pr2NiGe6 PBE-GGA relaxed; SG = No. 38; ΔE_f = -4.695 eV per formula unit
1.0
-2.564 -1.632 -2.763
-2.197 3.539 -0.052
7.631 4.637 -6.768
Pr Ge Ni
2 6 1
Direct
0.778 0.500 0.557
0.113 0.500 0.225
0.661 0.000 0.321
0.500 0.500 0.999
0.999 0.000 0.998
0.231 0.000 0.462
0.387 0.500 0.773
0.885 0.000 0.770
0.554 0.000 0.108

=====

GeP PBE-GGA relaxed; SG = No. 107; ΔE_f = 0.133 eV per formula unit
1.0
-0.261 -3.786 0.443
-3.664 -0.365 -1.018
2.662 1.747 -2.112
Ge P
1 1
Direct
0.004 0.004 0.000
0.423 0.423 0.000

=====

CeSe2 PBE-GGA relaxed; SG = No. 72; ΔE_f = -5.208 eV per formula unit
1.0
-2.392 3.445 4.242
1.939 4.060 -3.917
-4.109 -3.944 -1.773
Se Ce
4 2
Direct
0.211 0.691 0.902
0.789 0.309 0.098
0.711 0.809 0.519
0.289 0.191 0.481
0.250 0.250 0.000
0.750 0.750 0.000

=====

CaGe7N10 PBE-GGA relaxed; SG = No. 7; ΔE_f = -5.620 eV per formula unit
1.0
7.187 0.000 0.045
0.000 7.225 0.000
-2.707 0.000 9.893
Ge N Ca
14 20 2
Direct
0.851 0.375 0.313
0.851 0.625 0.813
0.299 0.624 0.884
0.349 0.975 0.521
0.349 0.025 0.021
0.547 0.027 0.327
0.664 0.635 0.493
0.664 0.365 0.993
0.487 0.630 0.189
0.299 0.376 0.384
0.114 0.607 0.575
0.547 0.973 0.827
0.114 0.393 0.075
0.487 0.370 0.689
0.770 0.862 0.825
0.287 0.496 0.225
0.770 0.138 0.325
0.708 0.415 0.825
0.577 0.125 0.982
0.142 0.849 0.535
0.142 0.151 0.035
0.499 0.540 0.023
0.320 0.875 0.866
0.320 0.125 0.366
0.499 0.460 0.523
0.080 0.581 0.943
0.458 0.881 0.174
0.458 0.119 0.674
0.887 0.371 0.133
0.080 0.419 0.443
0.708 0.585 0.325
0.287 0.504 0.725
0.887 0.629 0.633
0.577 0.875 0.482
0.904 0.981 0.636
0.904 0.019 0.136

=====

EuGa PBE-GGA relaxed; SG = No. 2; ΔE_f = -0.944 eV per formula unit
1.0
-1.159 4.084 -4.034
1.372 -3.669 -4.884
-5.350 -2.416 -2.791
Ga Eu
4 4
Direct
0.865 0.761 0.433
0.135 0.239 0.567
0.214 0.609 0.191
0.786 0.391 0.809
0.672 0.299 0.353
0.767 0.851 0.926
0.328 0.701 0.647
0.233 0.149 0.074

=====

K4ZnAs2 PBE-GGA relaxed; SG = No. 166; ΔE_f = -3.192 eV per formula unit
1.0
0.909 2.892 -4.926
0.909 -2.892 -4.926
-8.294 0.000 -4.926
As Zn K
2 1 4
Direct
0.086 0.086 0.743
0.914 0.914 0.257
0.000 0.000 0.000
0.209 0.209 0.374
0.385 0.385 0.846
0.615 0.615 0.154
0.791 0.791 0.626

=====

InSb3P6O24 PBE-GGA relaxed; SG = No. 7; ΔE_f = -80.888 eV per formula unit
1.0
8.742 0.000 0.000
0.000 8.536 0.000
0.000 8.354 12.013
O Sb In P
48 6 2 12
Direct
0.813 0.324 0.453
0.616 0.015 0.584
0.380 0.877 0.572
0.134 0.110 0.448
0.329 0.672 0.471
0.144 0.366 0.513
0.671 0.672 0.971
0.122 0.669 0.886
0.473 0.806 0.817
0.534 0.466 0.184
0.187 0.324 0.953
0.634 0.308 0.619
0.747 0.597 0.261
0.934 0.965 0.604
0.587 0.237 0.959
0.921 0.762 0.062
0.079 0.762 0.562
0.856 0.366 0.013
0.620 0.877 0.072
0.113 0.997 0.920
0.225 0.078 0.703
0.953 0.218 0.668
0.557 0.046 0.402
0.413 0.237 0.459
0.022 0.501 0.311
0.775 0.078 0.203
0.066 0.965 0.104
0.366 0.308 0.119
0.683 0.656 0.552
0.167 0.397 0.673
0.878 0.669 0.386
0.249 0.934 0.278
0.262 0.374 0.251
0.751 0.934 0.778
0.738 0.374 0.751
0.443 0.046 0.902
0.384 0.015 0.084
0.527 0.806 0.317
0.047 0.218 0.168
0.466 0.466 0.684
0.684 0.613 0.820
0.978 0.501 0.811
0.866 0.110 0.948
0.316 0.613 0.320
0.833 0.397 0.173
0.317 0.656 0.052
0.887 0.997 0.420
0.253 0.597 0.761
0.216 0.132 0.116
0.784 0.132 0.616
0.283 0.635 0.616
0.216 0.365 0.385
0.717 0.635 0.116
0.784 0.365 0.885
0.282 0.873 0.877
0.718 0.873 0.377
0.367 0.460 0.147
0.361 0.760 0.347
0.128 0.255 0.642
0.506 0.044 0.998
0.639 0.760 0.847
0.633 0.460 0.647
0.867 0.527 0.355
0.133 0.527 0.855
0.002 0.962 0.506
0.872 0.255 0.142
0.998 0.962 0.006
0.494 0.044 0.498

=====

In2Ag2GeSe6 PBE-GGA relaxed; SG = No. 9; ΔE_f = -6.800 eV per formula unit
1.0
-6.398 -3.109 2.542
0.197 -7.050 2.708
0.270 0.994 12.906
Se Ag In Ge
12 4 4 2
Direct
0.651 0.174 0.313
0.890 0.399 0.054
0.370 0.399 0.087
0.947 0.487 0.376
0.487 0.947 0.876
0.900 0.925 0.062
0.174 0.651 0.813
0.399 0.370 0.587
0.838 0.357 0.748
0.357 0.838 0.248
0.399 0.890 0.554
0.925 0.900 0.562
0.017 0.201 0.255
0.201 0.017 0.755
0.198 0.615 0.419
0.615 0.198 0.919
0.705 0.834 0.262
0.834 0.705 0.762
0.498 0.683 0.064
0.683 0.498 0.564
0.603 0.071 0.505
0.071 0.603 0.005

=====

Please write out number 7 again, unchanged.
EuGa PBE-GGA relaxed; SG = No. 2; ΔE_f = -0.944 eV per formula unit
1.0
-1.159 4.084 -4.034
1.372 -3.669 -4.884
-5.350 -2.416 -2.791
Ga Eu
4 4
Direct
0.865 0.761 0.433
0.135 0.239 0.567
0.214 0.609 0.191
0.786 0.391 0.809
0.672 0.299 0.353
0.767 0.851 0.926
0.328 0.701 0.647
0.233 0.149 0.074

=====

Which of these has the lowest ΔE_f?
LiSn10P7O28

=====

Number 8 is which compound?
K4ZnAs2

=====

ΔE_f of number 4 (GeP)?
0.133 eV per formula unit